Entry 1:
Entry from the Materials Project database: SrCl2O after structural relaxation (GGA-PBE).

Structure (CIF):
```
data_SrCl2O
_chemical_formula_sum 'Sr4 Cl8 O4'
_space_group_name_H-M_alt 'P 1'
_space_group_IT_number 1
_cell_length_a 10.567
_cell_length_b 4.775
_cell_length_c 8.025
_cell_angle_alpha 90.00
_cell_angle_beta 90.00
_cell_angle_gamma 90.00
loop_
_space_group_symop_operation_xyz
'x,y,z'
loop_
_atom_site_label
_atom_site_fract_x
_atom_site_fract_y
_atom_site_fract_z
_atom_site_occupancy
Sr1 0.186 0.250 0.110 1
Sr2 0.314 0.750 0.610 1
Sr3 0.686 0.250 0.390 1
Sr4 0.814 0.750 0.890 1
Cl1 0.107 0.750 0.879 1
Cl2 0.117 0.750 0.337 1
Cl3 0.383 0.250 0.837 1
Cl4 0.393 0.250 0.379 1
Cl5 0.607 0.750 0.621 1
Cl6 0.617 0.750 0.163 1
Cl7 0.883 0.250 0.663 1
Cl8 0.893 0.250 0.121 1
O1 0.233 0.250 0.608 1
O2 0.267 0.750 0.108 1
O3 0.733 0.250 0.892 1
O4 0.767 0.750 0.392 1
```

---

Entry 2:
Entry from the Materials Project database: Sr4Cl6O after structural relaxation (GGA-PBE).

Results
The maximum piezoelectric response comes out at 0.174 C/m².

Structure (CIF):
```
data_Sr4Cl6O
_chemical_formula_sum 'Sr8 Cl12 O2'
_space_group_name_H-M_alt 'P 1'
_space_group_IT_number 1
_cell_length_a 9.576
_cell_length_b 9.576
_cell_length_c 7.307
_cell_angle_alpha 90.00
_cell_angle_beta 90.00
_cell_angle_gamma 120.00
loop_
_space_group_symop_operation_xyz
'x,y,z'
loop_
_atom_site_label
_atom_site_fract_x
_atom_site_fract_y
_atom_site_fract_z
_atom_site_occupancy
Sr1 0.197 0.394 0.000 1
Sr2 0.197 0.803 0.000 1
Sr3 0.333 0.667 0.431 1
Sr4 0.394 0.197 0.500 1
Sr5 0.606 0.803 0.000 1
Sr6 0.667 0.333 0.931 1
Sr7 0.803 0.197 0.500 1
Sr8 0.803 0.606 0.500 1
Cl1 0.070 0.535 0.712 1
Cl2 0.141 0.283 0.388 1
Cl3 0.141 0.859 0.388 1
Cl4 0.283 0.141 0.888 1
Cl5 0.465 0.535 0.712 1
Cl6 0.465 0.930 0.712 1
Cl7 0.535 0.070 0.212 1
Cl8 0.535 0.465 0.212 1
Cl9 0.717 0.859 0.388 1
Cl10 0.859 0.141 0.888 1
Cl11 0.859 0.717 0.888 1
Cl12 0.930 0.465 0.212 1
O1 0.333 0.667 0.106 1
O2 0.667 0.333 0.606 1
```

---

Entry 3:
Entry from the Materials Project database: Sr4Te3Cl4O8 after structural relaxation (GGA-PBE).

Structure (CIF):
```
data_Sr4Te3Cl4O8
_chemical_formula_sum 'Sr8 Te6 Cl8 O16'
_space_group_name_H-M_alt 'P 1'
_space_group_IT_number 1
_cell_length_a 8.781
_cell_length_b 8.781
_cell_length_c 17.229
_cell_angle_alpha 108.22
_cell_angle_beta 108.22
_cell_angle_gamma 38.53
loop_
_space_group_symop_operation_xyz
'x,y,z'
loop_
_atom_site_label
_atom_site_fract_x
_atom_site_fract_y
_atom_site_fract_z
_atom_site_occupancy
Sr1 0.050 0.050 0.181 1
Sr2 0.156 0.159 0.441 1
Sr3 0.260 0.263 0.699 1
Sr4 0.349 0.365 0.956 1
Sr5 0.635 0.651 0.044 1
Sr6 0.737 0.740 0.301 1
Sr7 0.841 0.844 0.559 1
Sr8 0.950 0.950 0.819 1
Te1 0.266 0.271 0.179 1
Te2 0.365 0.367 0.428 1
Te3 0.465 0.467 0.676 1
Te4 0.533 0.535 0.324 1
Te5 0.633 0.635 0.572 1
Te6 0.729 0.734 0.821 1
Cl1 0.048 0.952 0.000 1
Cl2 0.098 0.100 0.746 1
Cl3 0.189 0.197 0.982 1
Cl4 0.499 0.480 0.123 1
Cl5 0.520 0.501 0.877 1
Cl6 0.803 0.811 0.018 1
Cl7 0.900 0.902 0.254 1
Cl8 0.999 0.001 0.500 1
O1 0.049 0.535 0.432 1
O2 0.050 0.573 0.833 1
O3 0.155 0.641 0.694 1
O4 0.297 0.301 0.297 1
O5 0.359 0.845 0.306 1
O6 0.407 0.411 0.559 1
O7 0.427 0.950 0.167 1
O8 0.465 0.951 0.568 1
O9 0.532 0.052 0.431 1
O10 0.572 0.053 0.834 1
O11 0.589 0.593 0.441 1
O12 0.638 0.157 0.693 1
O13 0.699 0.703 0.703 1
O14 0.843 0.362 0.307 1
O15 0.947 0.428 0.166 1
O16 0.948 0.468 0.569 1
```

---

Entry 4:
Entry from the Materials Project database: Ta3Cl6O8 after structural relaxation (GGA-PBE).

Structure (CIF):
```
data_Ta3Cl6O8
_chemical_formula_sum 'Ta12 Cl24 O32'
_space_group_name_H-M_alt 'P 1'
_space_group_IT_number 1
_cell_length_a 9.183
_cell_length_b 13.254
_cell_length_c 15.537
_cell_angle_alpha 90.00
_cell_angle_beta 109.45
_cell_angle_gamma 90.00
loop_
_space_group_symop_operation_xyz
'x,y,z'
loop_
_atom_site_label
_atom_site_fract_x
_atom_site_fract_y
_atom_site_fract_z
_atom_site_occupancy
Ta1 0.168 0.094 0.376 1
Ta2 0.168 0.406 0.876 1
Ta3 0.201 0.674 0.039 1
Ta4 0.201 0.826 0.539 1
Ta5 0.308 0.120 0.684 1
Ta6 0.308 0.380 0.184 1
Ta7 0.692 0.620 0.816 1
Ta8 0.692 0.880 0.316 1
Ta9 0.799 0.174 0.461 1
Ta10 0.799 0.326 0.961 1
Ta11 0.832 0.594 0.124 1
Ta12 0.832 0.906 0.624 1
Cl1 0.013 0.216 0.599 1
Cl2 0.013 0.284 0.099 1
Cl3 0.028 0.503 0.229 1
Cl4 0.028 0.997 0.729 1
Cl5 0.038 0.724 0.133 1
Cl6 0.038 0.776 0.633 1
Cl7 0.298 0.563 0.940 1
Cl8 0.298 0.937 0.440 1
Cl9 0.301 0.179 0.519 1
Cl10 0.301 0.321 0.019 1
Cl11 0.345 0.565 0.174 1
Cl12 0.345 0.935 0.674 1
Cl13 0.655 0.065 0.326 1
Cl14 0.655 0.435 0.826 1
Cl15 0.699 0.679 0.981 1
Cl16 0.699 0.821 0.481 1
Cl17 0.702 0.063 0.560 1
Cl18 0.702 0.437 0.060 1
Cl19 0.962 0.224 0.367 1
Cl20 0.962 0.276 0.867 1
Cl21 0.972 0.003 0.271 1
Cl22 0.972 0.497 0.771 1
Cl23 0.987 0.716 0.901 1
Cl24 0.987 0.784 0.401 1
O1 0.186 0.012 0.072 1
O2 0.186 0.488 0.572 1
O3 0.272 0.157 0.783 1
O4 0.272 0.343 0.283 1
O5 0.278 0.131 0.312 1
O6 0.278 0.369 0.812 1
O7 0.284 0.502 0.647 1
O8 0.284 0.998 0.147 1
O9 0.326 0.727 0.552 1
O10 0.326 0.773 0.052 1
O11 0.392 0.009 0.927 1
O12 0.392 0.491 0.427 1
O13 0.460 0.572 0.446 1
O14 0.460 0.928 0.946 1
O15 0.497 0.651 0.790 1
O16 0.497 0.849 0.290 1
O17 0.503 0.151 0.710 1
O18 0.503 0.349 0.210 1
O19 0.540 0.072 0.054 1
O20 0.540 0.428 0.554 1
O21 0.608 0.509 0.573 1
O22 0.608 0.991 0.073 1
O23 0.674 0.227 0.948 1
O24 0.674 0.273 0.448 1
O25 0.716 0.002 0.853 1
O26 0.716 0.498 0.353 1
O27 0.722 0.631 0.188 1
O28 0.722 0.869 0.688 1
O29 0.728 0.657 0.717 1
O30 0.728 0.843 0.217 1
O31 0.814 0.512 0.428 1
O32 0.814 0.988 0.928 1
```

---

Entry 5:
Entry from the Materials Project database: TaCl3O after structural relaxation (GGA-PBE).

Structure (CIF):
```
data_TaCl3O
_chemical_formula_sum 'Ta4 Cl12 O4'
_space_group_name_H-M_alt 'P 1'
_space_group_IT_number 1
_cell_length_a 11.262
_cell_length_b 11.262
_cell_length_c 3.854
_cell_angle_alpha 90.00
_cell_angle_beta 90.00
_cell_angle_gamma 90.00
loop_
_space_group_symop_operation_xyz
'x,y,z'
loop_
_atom_site_label
_atom_site_fract_x
_atom_site_fract_y
_atom_site_fract_z
_atom_site_occupancy
Ta1 0.126 0.126 0.000 1
Ta2 0.374 0.626 0.500 1
Ta3 0.626 0.374 0.500 1
Ta4 0.874 0.874 0.000 1
Cl1 0.102 0.898 0.000 1
Cl2 0.105 0.327 0.000 1
Cl3 0.173 0.605 0.500 1
Cl4 0.327 0.105 0.000 1
Cl5 0.395 0.827 0.500 1
Cl6 0.398 0.398 0.500 1
Cl7 0.602 0.602 0.500 1
Cl8 0.605 0.173 0.500 1
Cl9 0.673 0.895 0.000 1
Cl10 0.827 0.395 0.500 1
Cl11 0.895 0.673 0.000 1
Cl12 0.898 0.102 0.000 1
O1 0.116 0.116 0.500 1
O2 0.384 0.616 0.000 1
O3 0.616 0.384 0.000 1
O4 0.884 0.884 0.500 1
```

---

Entry 6:
Entry from the Materials Project database: TaTe4Cl4O after structural relaxation (GGA-PBE).

Structure (CIF):
```
data_TaTe4Cl4O
_chemical_formula_sum 'Ta8 Te32 Cl32 O8'
_space_group_name_H-M_alt 'P 1'
_space_group_IT_number 1
_cell_length_a 8.172
_cell_length_b 13.791
_cell_length_c 22.661
_cell_angle_alpha 90.00
_cell_angle_beta 99.07
_cell_angle_gamma 90.00
loop_
_space_group_symop_operation_xyz
'x,y,z'
loop_
_atom_site_label
_atom_site_fract_x
_atom_site_fract_y
_atom_site_fract_z
_atom_site_occupancy
Ta1 0.002 0.066 0.387 1
Ta2 0.002 0.434 0.887 1
Ta3 0.014 0.684 0.962 1
Ta4 0.014 0.816 0.462 1
Ta5 0.986 0.184 0.538 1
Ta6 0.986 0.316 0.038 1
Ta7 0.998 0.566 0.113 1
Ta8 0.998 0.934 0.613 1
Te1 0.188 0.503 0.629 1
Te2 0.188 0.997 0.129 1
Te3 0.333 0.054 0.238 1
Te4 0.333 0.446 0.738 1
Te5 0.344 0.605 0.295 1
Te6 0.344 0.895 0.795 1
Te7 0.354 0.683 0.617 1
Te8 0.354 0.817 0.117 1
Te9 0.366 0.098 0.934 1
Te10 0.366 0.402 0.434 1
Te11 0.371 0.689 0.798 1
Te12 0.371 0.811 0.298 1
Te13 0.408 0.178 0.780 1
Te14 0.408 0.322 0.280 1
Te15 0.445 0.590 0.422 1
Te16 0.445 0.910 0.922 1
Te17 0.555 0.090 0.078 1
Te18 0.555 0.410 0.578 1
Te19 0.592 0.678 0.720 1
Te20 0.592 0.822 0.220 1
Te21 0.629 0.189 0.702 1
Te22 0.629 0.311 0.202 1
Te23 0.634 0.598 0.566 1
Te24 0.634 0.902 0.066 1
Te25 0.646 0.183 0.883 1
Te26 0.646 0.317 0.383 1
Te27 0.656 0.105 0.205 1
Te28 0.656 0.395 0.705 1
Te29 0.667 0.554 0.262 1
Te30 0.667 0.946 0.762 1
Te31 0.812 0.003 0.871 1
Te32 0.812 0.497 0.371 1
Cl1 0.011 0.715 0.170 1
Cl2 0.011 0.785 0.670 1
Cl3 0.014 0.521 0.792 1
Cl4 0.014 0.979 0.292 1
Cl5 0.017 0.736 0.366 1
Cl6 0.017 0.764 0.866 1
Cl7 0.038 0.648 0.507 1
Cl8 0.038 0.852 0.007 1
Cl9 0.277 0.202 0.551 1
Cl10 0.277 0.298 0.051 1
Cl11 0.292 0.073 0.403 1
Cl12 0.292 0.427 0.903 1
Cl13 0.296 0.558 0.139 1
Cl14 0.296 0.942 0.639 1
Cl15 0.309 0.681 0.978 1
Cl16 0.309 0.819 0.478 1
Cl17 0.691 0.181 0.522 1
Cl18 0.691 0.319 0.022 1
Cl19 0.704 0.058 0.361 1
Cl20 0.704 0.442 0.861 1
Cl21 0.708 0.573 0.097 1
Cl22 0.708 0.927 0.597 1
Cl23 0.723 0.702 0.949 1
Cl24 0.723 0.798 0.449 1
Cl25 0.962 0.148 0.993 1
Cl26 0.962 0.352 0.493 1
Cl27 0.983 0.236 0.134 1
Cl28 0.983 0.264 0.634 1
Cl29 0.986 0.021 0.708 1
Cl30 0.986 0.479 0.208 1
Cl31 0.989 0.215 0.330 1
Cl32 0.989 0.285 0.830 1
O1 0.003 0.561 0.925 1
O2 0.003 0.939 0.425 1
O3 0.014 0.635 0.042 1
O4 0.014 0.865 0.542 1
O5 0.986 0.135 0.458 1
O6 0.986 0.365 0.958 1
O7 0.997 0.061 0.575 1
O8 0.997 0.439 0.075 1
```

---

Entry 7:
Entry from the Materials Project database: Tb2Cl2O after structural relaxation (GGA-PBE).

Structure (CIF):
```
data_Tb2Cl2O
_chemical_formula_sum 'Tb2 Cl2 O1'
_space_group_name_H-M_alt 'P 1'
_space_group_IT_number 1
_cell_length_a 4.168
_cell_length_b 4.168
_cell_length_c 12.793
_cell_angle_alpha 90.00
_cell_angle_beta 90.00
_cell_angle_gamma 90.00
loop_
_space_group_symop_operation_xyz
'x,y,z'
loop_
_atom_site_label
_atom_site_fract_x
_atom_site_fract_y
_atom_site_fract_z
_atom_site_occupancy
Tb1 0.000 0.000 0.162 1
Tb2 0.000 0.000 0.838 1
Cl1 0.000 0.000 0.356 1
Cl2 0.000 0.000 0.644 1
O1 0.000 0.000 0.000 1
```

---

Entry 8:
Entry from the Materials Project database: TbTiClO3 after structural relaxation (GGA-PBE).

Structure (CIF):
```
data_TbTiClO3
_chemical_formula_sum 'Tb2 Ti2 Cl2 O6'
_space_group_name_H-M_alt 'P 1'
_space_group_IT_number 1
_cell_length_a 5.305
_cell_length_b 5.305
_cell_length_c 9.983
_cell_angle_alpha 105.53
_cell_angle_beta 105.53
_cell_angle_gamma 43.55
loop_
_space_group_symop_operation_xyz
'x,y,z'
loop_
_atom_site_label
_atom_site_fract_x
_atom_site_fract_y
_atom_site_fract_z
_atom_site_occupancy
Tb1 0.222 0.222 0.206 1
Tb2 0.778 0.778 0.794 1
Ti1 0.381 0.381 0.569 1
Ti2 0.619 0.619 0.431 1
Cl1 0.115 0.115 0.906 1
Cl2 0.885 0.885 0.094 1
O1 0.168 0.168 0.435 1
O2 0.349 0.349 0.746 1
O3 0.423 0.423 0.376 1
O4 0.577 0.577 0.624 1
O5 0.651 0.651 0.254 1
O6 0.832 0.832 0.565 1
```

---

Entry 9:
Entry from the Materials Project database: Te6Cl2O11 after structural relaxation (GGA-PBE).

Structure (CIF):
```
data_Te6Cl2O11
_chemical_formula_sum 'Te12 Cl4 O22'
_space_group_name_H-M_alt 'P 1'
_space_group_IT_number 1
_cell_length_a 6.904
_cell_length_b 6.904
_cell_length_c 15.680
_cell_angle_alpha 90.00
_cell_angle_beta 90.00
_cell_angle_gamma 60.54
loop_
_space_group_symop_operation_xyz
'x,y,z'
loop_
_atom_site_label
_atom_site_fract_x
_atom_site_fract_y
_atom_site_fract_z
_atom_site_occupancy
Te1 0.075 0.925 0.642 1
Te2 0.075 0.925 0.858 1
Te3 0.210 0.476 0.086 1
Te4 0.210 0.476 0.414 1
Te5 0.476 0.210 0.586 1
Te6 0.476 0.210 0.914 1
Te7 0.524 0.790 0.086 1
Te8 0.524 0.790 0.414 1
Te9 0.790 0.524 0.586 1
Te10 0.790 0.524 0.914 1
Te11 0.925 0.075 0.142 1
Te12 0.925 0.075 0.358 1
Cl1 0.130 0.548 0.750 1
Cl2 0.452 0.870 0.750 1
Cl3 0.548 0.130 0.250 1
Cl4 0.870 0.452 0.250 1
O1 0.041 0.198 0.595 1
O2 0.041 0.198 0.905 1
O3 0.071 0.929 0.250 1
O4 0.184 0.514 0.536 1
O5 0.184 0.514 0.964 1
O6 0.198 0.041 0.095 1
O7 0.198 0.041 0.405 1
O8 0.423 0.577 0.115 1
O9 0.423 0.577 0.385 1
O10 0.486 0.816 0.536 1
O11 0.486 0.816 0.964 1
O12 0.514 0.184 0.036 1
O13 0.514 0.184 0.464 1
O14 0.577 0.423 0.615 1
O15 0.577 0.423 0.885 1
O16 0.802 0.959 0.595 1
O17 0.802 0.959 0.905 1
O18 0.816 0.486 0.036 1
O19 0.816 0.486 0.464 1
O20 0.929 0.071 0.750 1
O21 0.959 0.802 0.095 1
O22 0.959 0.802 0.405 1
```

---

Entry 10:
Entry from the Materials Project database: Zn2TeCl2O3 after structural relaxation (GGA-PBE).

Structure (CIF):
```
data_Zn2TeCl2O3
_chemical_formula_sum 'Zn16 Te8 Cl16 O24'
_space_group_name_H-M_alt 'P 1'
_space_group_IT_number 1
_cell_length_a 10.645
_cell_length_b 15.864
_cell_length_c 7.763
_cell_angle_alpha 90.00
_cell_angle_beta 90.00
_cell_angle_gamma 90.00
loop_
_space_group_symop_operation_xyz
'x,y,z'
loop_
_atom_site_label
_atom_site_fract_x
_atom_site_fract_y
_atom_site_fract_z
_atom_site_occupancy
Zn1 0.006 0.110 0.159 1
Zn2 0.006 0.390 0.659 1
Zn3 0.238 0.025 0.398 1
Zn4 0.238 0.475 0.898 1
Zn5 0.262 0.025 0.898 1
Zn6 0.262 0.475 0.398 1
Zn7 0.494 0.110 0.659 1
Zn8 0.494 0.390 0.159 1
Zn9 0.506 0.610 0.841 1
Zn10 0.506 0.890 0.341 1
Zn11 0.738 0.525 0.602 1
Zn12 0.738 0.975 0.102 1
Zn13 0.762 0.525 0.102 1
Zn14 0.762 0.975 0.602 1
Zn15 0.994 0.610 0.341 1
Zn16 0.994 0.890 0.841 1
Te1 0.028 0.097 0.707 1
Te2 0.028 0.403 0.207 1
Te3 0.472 0.097 0.207 1
Te4 0.472 0.403 0.707 1
Te5 0.528 0.597 0.293 1
Te6 0.528 0.903 0.793 1
Te7 0.972 0.597 0.793 1
Te8 0.972 0.903 0.293 1
Cl1 0.080 0.211 0.333 1
Cl2 0.080 0.289 0.833 1
Cl3 0.203 0.620 0.420 1
Cl4 0.203 0.880 0.920 1
Cl5 0.297 0.620 0.920 1
Cl6 0.297 0.880 0.420 1
Cl7 0.420 0.211 0.833 1
Cl8 0.420 0.289 0.333 1
Cl9 0.580 0.711 0.667 1
Cl10 0.580 0.789 0.167 1
Cl11 0.703 0.120 0.580 1
Cl12 0.703 0.380 0.080 1
Cl13 0.797 0.120 0.080 1
Cl14 0.797 0.380 0.580 1
Cl15 0.920 0.711 0.167 1
Cl16 0.920 0.789 0.667 1
O1 0.058 0.010 0.305 1
O2 0.058 0.490 0.805 1
O3 0.088 0.083 0.937 1
O4 0.088 0.417 0.437 1
O5 0.189 0.057 0.642 1
O6 0.189 0.443 0.142 1
O7 0.311 0.057 0.142 1
O8 0.311 0.443 0.642 1
O9 0.412 0.083 0.437 1
O10 0.412 0.417 0.937 1
O11 0.442 0.010 0.805 1
O12 0.442 0.490 0.305 1
O13 0.558 0.510 0.695 1
O14 0.558 0.990 0.195 1
O15 0.588 0.583 0.063 1
O16 0.588 0.917 0.563 1
O17 0.689 0.557 0.358 1
O18 0.689 0.943 0.858 1
O19 0.811 0.557 0.858 1
O20 0.811 0.943 0.358 1
O21 0.912 0.583 0.563 1
O22 0.912 0.917 0.063 1
O23 0.942 0.510 0.195 1
O24 0.942 0.990 0.695 1
```

---

| no. | formation energy (eV per atom) |
| --- | --- |
| 1 | -1.523 |
| 2 | -2.633 |
| 3 | -2.306 |
| 4 | -1.188 |
| 5 | -1.916 |
| 6 | -1.038 |
| 7 | -1.466 |
| 8 | -3.435 |
| 9 | -1.376 |
| 10 | -1.470 |